1.
Hf2Zn: optimized geometry, PBE.

```
Hf2Zn
1.0
5.023 3.045 1.585
1.225 4.864 3.443
-2.878 -5.317 -0.676
Hf Zn
2 1
Direct
0.341 0.341 0.000
0.659 0.659 0.000
0.000 0.000 0.000
```

Values from the calculation:
Energy relative to the elements in eV/atom: -0.1777
Symmetry: I4/mmm, No. 139

2.
Ga3Sb: optimized geometry, PBE.

```
Ga3Sb
1.0
-2.159 2.159 4.760
2.159 -2.159 4.760
2.159 2.159 -4.760
Ga Sb
3 1
Direct
0.750 0.250 0.500
0.250 0.750 0.500
0.500 0.500 0.000
0.000 0.000 0.000
```

Values from the calculation:
Energy relative to the elements in eV/atom: 0.0204
Symmetry: I4/mmm, No. 139

3.
TiCu3: optimized geometry, PBE.

```
TiCu3
1.0
-3.261 -2.536 1.221
-0.104 -1.812 -4.041
3.543 -3.784 1.606
Cu Ti
6 2
Direct
0.000 0.832 0.253
0.500 0.168 0.247
0.000 0.319 0.500
0.000 0.832 0.747
0.500 0.681 0.000
0.500 0.168 0.753
0.000 0.339 0.000
0.500 0.661 0.500
```

Values from the calculation:
Energy relative to the elements in eV/atom: -0.0932
Symmetry: Pmmn, No. 59

4.
BaYF5: optimized geometry, PBE.

```
BaYF5
1.0
7.445 0.000 0.000
2.142 8.398 0.000
0.574 2.185 11.150
F Y Ba
30 6 6
Direct
0.218 0.711 0.835
0.282 0.057 0.711
0.317 0.395 0.700
0.990 0.544 0.606
0.909 0.590 0.851
0.683 0.605 0.300
0.516 0.133 0.058
0.505 0.159 0.540
0.576 0.687 0.722
0.010 0.456 0.394
0.651 0.430 0.940
0.091 0.410 0.149
0.100 0.056 0.072
0.013 0.733 0.125
0.336 0.478 0.450
0.495 0.841 0.460
0.135 0.125 0.446
0.664 0.522 0.550
0.082 0.749 0.366
0.424 0.313 0.278
0.987 0.267 0.875
0.718 0.943 0.289
0.918 0.251 0.634
0.484 0.867 0.942
0.865 0.875 0.554
0.652 0.229 0.822
0.349 0.570 0.060
0.900 0.944 0.928
0.782 0.289 0.165
0.348 0.771 0.178
0.795 0.167 0.013
0.205 0.833 0.987
0.794 0.722 0.432
0.217 0.549 0.259
0.206 0.278 0.568
0.783 0.451 0.741
0.344 0.036 0.265
0.732 0.620 0.073
0.268 0.380 0.927
0.258 0.720 0.597
0.656 0.964 0.735
0.742 0.280 0.403
```

Values from the calculation:
Relative energy among the computed polymorphs in meV/atom: 73
Energy relative to the elements in eV/atom: -4.2682
Symmetry: P-1, No. 2

no.,raw total energy (eV/cell)
1,-21.7
2,-12.9
3,-41.1
4,-273.2